Entry 1:
K2ZrTe3 | meta-GGA r2SCAN | optimized geometry

a b c (Å): 9.2287 14.2714 7.0474
angles (deg): 90.00 106.03 90.00
Last column: nearest neighbours and their distance in Å.
Fractional coordinates of all 24 atoms:
K 0.1026 0.1370 0.0598  4 Te 3.42-3.53
K 0.1026 0.3630 0.5598  4 Te 3.42-3.53
K 0.3437 0.0377 0.6638  5 Te 3.55-3.66
K 0.3437 0.4623 0.1638  5 Te 3.55-3.66
K 0.6563 0.5377 0.8362  5 Te 3.55-3.66
K 0.6563 0.9623 0.3362  5 Te 3.55-3.66
K 0.8974 0.6370 0.4402  4 Te 3.42-3.53
K 0.8974 0.8630 0.9402  4 Te 3.42-3.53
Zr 0.2933 0.7496 0.3075  6 Te 2.83-3.06
Zr 0.2933 0.7504 0.8075  6 Te 2.83-3.06
Zr 0.7067 0.2496 0.1925  6 Te 2.83-3.06
Zr 0.7067 0.2504 0.6925  6 Te 2.83-3.06
Te 0.0776 0.6510 0.0011  2 Zr 2.87-3.06
Te 0.0776 0.8490 0.5011  2 Zr 2.87-3.06
Te 0.2753 0.5849 0.5729  2 Zr 2.86-3.04
Te 0.2753 0.9151 0.0729  2 Zr 2.86-3.04
Te 0.4651 0.1871 0.3346  2 Zr 2.83-3.01
Te 0.4651 0.3129 0.8346  2 Zr 2.83-3.01
Te 0.5349 0.6871 0.1654  2 Zr 2.83-3.01
Te 0.5349 0.8129 0.6654  2 Zr 2.83-3.01
Te 0.7247 0.0849 0.9271  2 Zr 2.86-3.04
Te 0.7247 0.4151 0.4271  2 Zr 2.86-3.04
Te 0.9224 0.1510 0.4989  2 Zr 2.87-3.06
Te 0.9224 0.3490 0.9989  2 Zr 2.87-3.06

ρ: 4.112 g cm⁻³
space-group type: No. 14
energy relative to the elements: -1222 meV per atom
M_tot: 0.0 μB per formula unit
raw total energy: -473.5 eV/cell


Entry 2:
KTl3 | meta-GGA r2SCAN | optimized geometry

a b c (Å): 7.7477 7.7477 5.2484
angles (deg): 90.00 90.00 120.00
Last column: nearest neighbours and their distance in Å.
Fractional coordinates of all 8 atoms:
K 0.3333 0.6667 0.2500  12 Tl 3.63-3.88
K 0.6667 0.3333 0.7500  12 Tl 3.63-3.88
Tl 0.1466 0.2932 0.7500  6 Tl 3.28-3.41, 2 K 3.63
Tl 0.1466 0.8534 0.7500  6 Tl 3.28-3.41, 2 K 3.63
Tl 0.2932 0.1466 0.2500  6 Tl 3.28-3.41, 2 K 3.63
Tl 0.7068 0.8534 0.7500  6 Tl 3.28-3.41, 2 K 3.63
Tl 0.8534 0.1466 0.2500  6 Tl 3.28-3.41, 2 K 3.63
Tl 0.8534 0.7068 0.2500  6 Tl 3.28-3.41, 2 K 3.63

ρ: 7.939 g cm⁻³
space-group type: No. 194
energy relative to the elements: -113 meV per atom
M_tot: 0.0 μB per formula unit
raw total energy: -332.0 eV/cell


Entry 3:
KTl | meta-GGA r2SCAN | optimized geometry

a b c (Å): 10.9475 10.9475 8.0363
angles (deg): 90.00 90.00 88.86
Last column: nearest neighbours and their distance in Å.
Fractional coordinates of all 24 atoms:
K 0.0279 0.4721 0.7500  4 Tl 3.70-3.75, 4 K 4.10-4.11
K 0.1795 0.1795 0.0000  6 Tl 3.65-4.00
K 0.2004 0.7996 0.9259  6 Tl 3.62-4.01
K 0.2996 0.7004 0.4259  6 Tl 3.62-4.01
K 0.3205 0.3205 0.5000  6 Tl 3.65-4.00
K 0.4721 0.0279 0.2500  4 Tl 3.70-3.75, 4 K 4.10-4.11
K 0.5279 0.9721 0.7500  4 Tl 3.70-3.75, 4 K 4.10-4.11
K 0.6795 0.6795 0.5000  6 Tl 3.65-4.00
K 0.7004 0.2996 0.5741  6 Tl 3.62-4.01
K 0.7996 0.2004 0.0741  6 Tl 3.62-4.01
K 0.8205 0.8205 0.0000  6 Tl 3.65-4.00
K 0.9721 0.5279 0.2500  4 Tl 3.70-3.75, 4 K 4.10-4.11
Tl 0.0067 0.2201 0.4357  3 Tl 3.08-3.43
Tl 0.0378 0.9622 0.2805  4 Tl 3.08-3.10
Tl 0.2201 0.0067 0.5643  3 Tl 3.08-3.43
Tl 0.2799 0.4933 0.0643  3 Tl 3.08-3.43
Tl 0.4622 0.5378 0.7805  4 Tl 3.08-3.10
Tl 0.4933 0.2799 0.9357  3 Tl 3.08-3.43
Tl 0.5067 0.7201 0.0643  3 Tl 3.08-3.43
Tl 0.5378 0.4622 0.2195  4 Tl 3.08-3.10
Tl 0.7201 0.5067 0.9357  3 Tl 3.08-3.43
Tl 0.7799 0.9933 0.4357  3 Tl 3.08-3.43
Tl 0.9622 0.0378 0.7195  4 Tl 3.08-3.10
Tl 0.9933 0.7799 0.5643  3 Tl 3.08-3.43

ρ: 5.038 g cm⁻³
space-group type: No. 64
energy relative to the elements: -182 meV per atom
M_tot: 0.0 μB per formula unit
raw total energy: -714.7 eV/cell


Entry 4:
KTl | meta-GGA r2SCAN | optimized geometry

a b c (Å): 5.3610 5.3610 12.6086
angles (deg): 90.00 90.00 120.00
Last column: nearest neighbours and their distance in Å.
Fractional coordinates of all 8 atoms:
K 0.3333 0.6667 0.0935  6 Tl 3.67, 4 K 3.89-3.95
K 0.3333 0.6667 0.4065  6 Tl 3.67, 4 K 3.89-3.95
K 0.6667 0.3333 0.5935  6 Tl 3.67, 4 K 3.89-3.95
K 0.6667 0.3333 0.9065  6 Tl 3.67, 4 K 3.89-3.95
Tl 0.0000 0.0000 0.2500  3 Tl 3.10
Tl 0.0000 0.0000 0.7500  3 Tl 3.10
Tl 0.3333 0.6667 0.7500  3 Tl 3.10
Tl 0.6667 0.3333 0.2500  3 Tl 3.10

ρ: 5.153 g cm⁻³
space-group type: No. 194
energy relative to the elements: -145 meV per atom
M_tot: 0.0 μB per formula unit
raw total energy: -238.0 eV/cell